#w
The following is a PBE calculation of a relaxed structure of Ca4SnS6, from the Materials Project database.

Cell and atoms, written as extended XYZ:
```
22
Lattice="6.6927 -3.7603 0.0000 6.6927 3.7603 0.0000 -5.1821 0.0000 12.4703" Properties=species:S:1:pos:R:3 pbc="T T T"
Ca -1.5506 0.9730 10.1328
Ca 4.1017 2.9447 6.2351
Ca 4.2142 1.3610 1.8829
Ca 1.0404 -0.9730 3.8977
Ca 3.4826 0.8401 12.3949
Ca 1.6231 -1.3610 8.1181
Ca 6.0736 -0.8401 6.1597
Ca 6.6927 -2.9447 0.0000
Sn 2.0008 2.0944 9.3112
Sn 4.5918 -2.0944 3.0761
S 1.7987 1.5199 6.9827
S 6.7881 2.2189 1.4003
S 4.2901 2.1045 10.0146
S 1.1127 0.1428 10.4605
S 3.7037 -0.1428 4.2253
S 6.5699 1.8211 6.1313
S 4.3897 -1.5199 0.7476
S 7.3452 0.2291 9.8402
S 4.1971 -2.2189 7.6354
S 9.9363 -0.2291 3.6051
S 6.8811 -2.1045 3.7794
S 3.9788 -1.8211 12.3664
```

Summary:
Space group: No. 9
Piezoelectric modulus e_max: 1.14 C/m²
Magnetization: 0.002 μB/f.u.
Density: 2.49 g cm⁻³
V: 28.5 A^3/atom

=====

#x
The following is a PBE calculation of a relaxed structure of Ca4SnS6, from the Materials Project database.

Cell and atoms, written as extended XYZ:
```
22
Lattice="5.6574 3.2663 4.5312 -5.6574 3.2663 4.5312 0.0000 -6.5326 4.5312" Properties=species:S:1:pos:R:3 pbc="T T T"
Ca -3.4936 0.4815 5.6640
Ca 0.0000 0.0000 3.3984
Ca -2.1638 -2.7848 7.9296
Ca 1.3298 -3.2663 5.6640
Ca -1.3298 3.2663 7.9295
Ca 2.1638 2.7848 5.6640
Ca 0.0000 0.0000 10.1951
Ca 3.4936 -0.4815 7.9295
Sn 0.0000 0.0000 0.0000
Sn 0.0000 0.0000 6.7968
S -4.9889 -1.2838 7.5906
S -1.3826 -4.9624 6.0029
S -1.3826 -1.5702 5.3250
S -3.6062 3.6786 6.0029
S -0.6685 1.9825 5.3250
S -2.0512 0.4123 8.2685
S 2.0512 -0.4123 5.3250
S 0.6685 -1.9825 8.2685
S 3.6062 -3.6786 7.5906
S 1.3826 1.5702 8.2685
S 1.3826 4.9624 7.5906
S 4.9888 1.2838 6.0029
```

Summary:
Space group: No. 167
Magnetization: 0.001 μB/f.u.
Density: 3.12 g cm⁻³
V: 22.8 A^3/atom

=====

#x is favored, and the nearest alternative lies 20 meV/atom above it.